<one>
Material: LiFeF3
Method: DFT, PBE with a Hubbard U
State: relaxed

Computed properties:
Total magnetic moment ... 4.0 μB/f.u.
Space-group type ... P2_1/m

abc: 5.809 4.041 5.567
angles: 70.19 90.00 90.00
Fractional coordinates of all 10 atoms:
1 Li 0.250 0.811 0.564
2 Li 0.750 0.189 0.436
3 F 0.008 0.877 0.298
4 F 0.750 0.460 0.064
5 F 0.492 0.877 0.298
6 F 0.250 0.540 0.936
7 F 0.992 0.123 0.702
8 F 0.508 0.123 0.702
9 Fe 0.750 0.982 0.003
10 Fe 0.250 0.018 0.997

---

<two>
Material: LiFeF3
Method: DFT, PBE with a Hubbard U
State: relaxed

Computed properties:
Total magnetic moment ... 4.0 μB/f.u.
Space-group type ... Pnma

abc: 3.058 5.393 14.687
angles: 90.00 90.00 90.00
Fractional coordinates of all 20 atoms:
1 F 0.750 0.342 0.453
2 F 0.750 0.367 0.122
3 F 0.750 0.583 0.708
4 F 0.250 0.133 0.622
5 F 0.750 0.842 0.047
6 F 0.250 0.417 0.292
7 F 0.250 0.658 0.547
8 F 0.250 0.917 0.208
9 F 0.250 0.158 0.953
10 F 0.750 0.867 0.378
11 F 0.750 0.083 0.792
12 F 0.250 0.633 0.878
13 Li 0.250 0.076 0.324
14 Li 0.250 0.576 0.176
15 Li 0.750 0.424 0.824
16 Li 0.750 0.924 0.676
17 Fe 0.750 0.398 0.592
18 Fe 0.750 0.898 0.908
19 Fe 0.250 0.102 0.092
20 Fe 0.250 0.602 0.408

---

Energies in kJ/mol of atoms, measured from the most stable structure: <one> 0.5; <two> 0.0.